A plane-wave DFT calculation with GGA-PBE was carried out for a relaxed Cu4PtO5 crystal.

For the energy above the most stable polymorph in this dataset, the calculation gives 0 meV/atom.

abc: 6.0368 2.9112 13.2343
angles: 90.00 97.01 90.00
Element x y z (fractional)
Cu 0.0000 0.0000 0.0000
Cu 0.0976 0.5000 0.4038
Cu 0.1995 0.0000 0.7987
Cu 0.3981 0.0000 0.5984
Cu 0.5000 0.5000 0.0000
Cu 0.6019 0.0000 0.4016
Cu 0.8005 0.0000 0.2013
Cu 0.9024 0.5000 0.5962
Pt 0.3001 0.5000 0.2014
Pt 0.6999 0.5000 0.7986
O 0.0038 0.5000 0.7453
O 0.2000 0.5000 0.0477
O 0.2012 0.5000 0.5506
O 0.3953 0.5000 0.8518
O 0.3983 0.5000 0.3548
O 0.6017 0.5000 0.6452
O 0.6047 0.5000 0.1482
O 0.7988 0.5000 0.4494
O 0.8000 0.5000 0.9523
O 0.9962 0.5000 0.2547


A plane-wave DFT calculation with GGA-PBE was carried out for a relaxed Sr2CuPtO2 crystal.

The magnetic moment is 0.00 μB/cell.

abc: 3.9246 3.9246 7.0029
angles: 90.00 90.00 90.00
Element x y z (fractional)
Sr 0.0000 0.0000 0.2411
Sr 0.0000 0.0000 0.7589
Cu 0.5000 0.5000 0.0000
Pt 0.5000 0.5000 0.5000
O 0.0000 0.5000 0.0000
O 0.5000 0.0000 0.0000


A plane-wave DFT calculation with GGA-PBE was carried out for a relaxed PuCuO3 crystal.

The magnetic moment is 4.55 μB/cell.

abc: 3.8230 3.8230 3.8230
angles: 90.00 90.00 90.00
Element x y z (fractional)
Pu 0.0000 0.0000 0.0000
Cu 0.5000 0.5000 0.5000
O 0.0000 0.5000 0.5000
O 0.5000 0.0000 0.5000
O 0.5000 0.5000 0.0000


A plane-wave DFT calculation with GGA-PBE was carried out for a relaxed Rb3Cu5O4 crystal.

abc: 9.9596 7.4765 14.4887
angles: 90.00 106.55 90.00
Element x y z (fractional)
Rb 0.1016 0.1661 0.0929
Rb 0.1016 0.3339 0.5929
Rb 0.2722 0.7123 0.0824
Rb 0.2722 0.7877 0.5824
Rb 0.3246 0.0876 0.8937
Rb 0.3246 0.4124 0.3937
Rb 0.6754 0.5876 0.6063
Rb 0.6754 0.9124 0.1063
Rb 0.7278 0.2123 0.4176
Rb 0.7278 0.2877 0.9176
Rb 0.8984 0.6661 0.4071
Rb 0.8984 0.8339 0.9071
Cu 0.0628 0.6701 0.7421
Cu 0.0628 0.8299 0.2421
Cu 0.0646 0.0827 0.3776
Cu 0.0646 0.4173 0.8776
Cu 0.2989 0.5585 0.8639
Cu 0.2989 0.9415 0.3639
Cu 0.4321 0.0457 0.2331
Cu 0.4321 0.4543 0.7331
Cu 0.4608 0.2022 0.6212
Cu 0.4608 0.2978 0.1212
Cu 0.5392 0.7022 0.8788
Cu 0.5392 0.7978 0.3788
Cu 0.5679 0.5457 0.2669
Cu 0.5679 0.9543 0.7669
Cu 0.7011 0.0585 0.6361
Cu 0.7011 0.4415 0.1361
Cu 0.9354 0.5827 0.1224
Cu 0.9354 0.9173 0.6224
Cu 0.9372 0.1701 0.7579
Cu 0.9372 0.3299 0.2579
O 0.0039 0.1901 0.8888
O 0.0039 0.3099 0.3888
O 0.1311 0.6504 0.8758
O 0.1311 0.8496 0.3758
O 0.3929 0.0686 0.1019
O 0.3929 0.4314 0.6019
O 0.4723 0.0320 0.3655
O 0.4723 0.4680 0.8655
O 0.5277 0.5320 0.1345
O 0.5277 0.9680 0.6345
O 0.6071 0.5686 0.3981
O 0.6071 0.9314 0.8981
O 0.8689 0.1504 0.6242
O 0.8689 0.3496 0.1242
O 0.9961 0.6901 0.6112
O 0.9961 0.8099 0.1112


A plane-wave DFT calculation with GGA-PBE was carried out for a relaxed Rb2CuS2O14 crystal.

The magnetic moment is 1.93 μB/cell.

abc: 6.5723 13.8929 7.9635
angles: 90.00 104.76 90.00
Element x y z (fractional)
Rb 0.1511 0.1453 0.3684
Rb 0.1511 0.3547 0.8684
Rb 0.8489 0.6453 0.1316
Rb 0.8489 0.8547 0.6316
Cu 0.5000 0.0000 0.0000
Cu 0.5000 0.5000 0.5000
S 0.2521 0.6437 0.9043
S 0.2521 0.8563 0.4043
S 0.7479 0.1437 0.5957
S 0.7479 0.3563 0.0957
O 0.0880 0.7168 0.8798
O 0.0880 0.7832 0.3798
O 0.1516 0.5607 0.7199
O 0.1516 0.9393 0.2199
O 0.1947 0.5885 0.5740
O 0.1947 0.9115 0.0740
O 0.2530 0.5745 0.0421
O 0.2530 0.9255 0.5421
O 0.3331 0.1052 0.9161
O 0.3331 0.3948 0.4161
O 0.4107 0.1105 0.0915
O 0.4107 0.3895 0.5915
O 0.4533 0.6744 0.8814
O 0.4533 0.8256 0.3814
O 0.5467 0.1744 0.6186
O 0.5467 0.3256 0.1186
O 0.5893 0.6105 0.4085
O 0.5893 0.8895 0.9085
O 0.6669 0.6052 0.5839
O 0.6669 0.8948 0.0839
O 0.7470 0.0745 0.4579
O 0.7470 0.4255 0.9579
O 0.8053 0.0885 0.9260
O 0.8053 0.4115 0.4260
O 0.8484 0.0607 0.7801
O 0.8484 0.4393 0.2801
O 0.9120 0.2168 0.6202
O 0.9120 0.2832 0.1202


A plane-wave DFT calculation with GGA-PBE was carried out for a relaxed Rb4CuSi2O7 crystal.

The magnetic moment is 1.00 μB/cell. For the energy above the most stable polymorph in this dataset, the calculation gives 0 meV/atom.

abc: 6.3732 7.2198 7.2956
angles: 114.55 100.23 108.12
Element x y z (fractional)
Rb 0.0686 0.0435 0.2781
Rb 0.3224 0.5775 0.2151
Rb 0.6776 0.4225 0.7849
Rb 0.9314 0.9565 0.7219
Cu 0.5000 0.0000 0.0000
Si 0.2154 0.5801 0.7232
Si 0.7846 0.4199 0.2768
O 0.0000 0.5000 0.5000
O 0.1831 0.7690 0.9325
O 0.2025 0.3585 0.7344
O 0.4734 0.7411 0.7324
O 0.5266 0.2589 0.2676
O 0.7975 0.6415 0.2656
O 0.8169 0.2310 0.0675


A plane-wave DFT calculation with GGA-PBE was carried out for a relaxed Rb2Cu2Si8O19 crystal.

The magnetic moment is 4.00 μB/cell.

abc: 9.9843 8.5032 11.6901
angles: 90.00 95.02 90.00
Element x y z (fractional)
Rb 0.0313 0.2500 0.0606
Rb 0.3959 0.2500 0.5269
Rb 0.6041 0.7500 0.4731
Rb 0.9687 0.7500 0.9394
Cu 0.3453 0.0074 0.0187
Cu 0.3453 0.4926 0.0187
Cu 0.6547 0.5074 0.9813
Cu 0.6547 0.9926 0.9813
Si 0.0656 0.0646 0.3878
Si 0.0656 0.4354 0.3878
Si 0.1599 0.0672 0.7850
Si 0.1599 0.4328 0.7850
Si 0.3068 0.5619 0.2737
Si 0.3068 0.9381 0.2737
Si 0.4278 0.5640 0.7642
Si 0.4278 0.9360 0.7642
Si 0.5722 0.0640 0.2358
Si 0.5722 0.4360 0.2358
Si 0.6932 0.0619 0.7263
Si 0.6932 0.4381 0.7263
Si 0.8401 0.5672 0.2150
Si 0.8401 0.9328 0.2150
Si 0.9344 0.5646 0.6122
Si 0.9344 0.9354 0.6122
O 0.0000 0.0000 0.5000
O 0.0000 0.5000 0.5000
O 0.0378 0.5447 0.7259
O 0.0378 0.9553 0.7259
O 0.1035 0.2500 0.4070
O 0.1125 0.2500 0.7597
O 0.1836 0.0210 0.9180
O 0.1836 0.4790 0.9180
O 0.2078 0.5256 0.3767
O 0.2078 0.9744 0.3767
O 0.2474 0.0064 0.1524
O 0.2474 0.4936 0.1524
O 0.2948 0.0374 0.7139
O 0.2948 0.4626 0.7139
O 0.3411 0.7500 0.2802
O 0.3909 0.7500 0.7484
O 0.4531 0.0226 0.3209
O 0.4531 0.4774 0.3209
O 0.4728 0.5123 0.8973
O 0.4728 0.9877 0.8973
O 0.5272 0.0123 0.1027
O 0.5272 0.4877 0.1027
O 0.5469 0.5226 0.6791
O 0.5469 0.9774 0.6791
O 0.6091 0.2500 0.2516
O 0.6589 0.2500 0.7198
O 0.7052 0.5374 0.2861
O 0.7052 0.9626 0.2861
O 0.7526 0.5064 0.8476
O 0.7526 0.9936 0.8476
O 0.7922 0.0256 0.6233
O 0.7922 0.4744 0.6233
O 0.8164 0.5210 0.0820
O 0.8164 0.9790 0.0820
O 0.8875 0.7500 0.2403
O 0.8965 0.7500 0.5930
O 0.9622 0.0447 0.2741
O 0.9622 0.4553 0.2741


A plane-wave DFT calculation with GGA-PBE was carried out for a relaxed CuRhO2 crystal.

abc: 3.1356 3.1356 17.1606
angles: 90.00 90.00 120.00
Element x y z (fractional)
Cu 0.0000 0.0000 0.0000
Cu 0.3333 0.6667 0.6667
Cu 0.6667 0.3333 0.3333
Rh 0.0000 0.0000 0.5000
Rh 0.3333 0.6667 0.1667
Rh 0.6667 0.3333 0.8333
O 0.0000 0.0000 0.1075
O 0.0000 0.0000 0.8925
O 0.3333 0.6667 0.5592
O 0.3333 0.6667 0.7742
O 0.6667 0.3333 0.2258
O 0.6667 0.3333 0.4408


Per-record final energy, eV per atom: -5.283, -5.296, -8.325, -4.457, -5.208, -5.875, -7.203, -5.958
Per-record DFT formation energy, eV/atom: -0.906, -1.617, -2.095, -1.083, -0.927, -2.397, -2.864, -0.961